1 | The following is a DFT calculation (PBE+U) of a relaxed structure of Li9Mn2Co5O16.

a = 5.194 Å, b = 5.922 Å, c = 10.293 Å
α = 104.65°, β = 95.18°, γ = 109.11°
Space group P1 (No. 1)
Symmetry-distinct sites (fractional):
Li: 0.000 0.000 0.000
Li: 0.000 0.254 0.493
Li: 0.002 0.509 0.000
Li: 0.003 0.125 0.740
Li: 0.005 0.368 0.248
Li: 0.007 0.619 0.744
Li: 0.007 0.886 0.248
Li: 0.501 0.313 0.369
Li: 0.997 0.745 0.491
Mn: 0.504 0.817 0.369
Mn: 0.505 0.061 0.871
Co: 0.496 0.950 0.124
Co: 0.500 0.436 0.122
Co: 0.500 0.560 0.870
Co: 0.502 0.670 0.612
Co: 0.507 0.186 0.620
O: 0.264 0.556 0.438
O: 0.267 0.687 0.189
O: 0.270 0.419 0.695
O: 0.270 0.801 0.938
O: 0.271 0.176 0.178
O: 0.283 0.921 0.689
O: 0.292 0.027 0.440
O: 0.292 0.276 0.931
O: 0.714 0.608 0.302
O: 0.716 0.693 0.049
O: 0.716 0.846 0.811
O: 0.730 0.465 0.570
O: 0.733 0.074 0.299
O: 0.735 0.323 0.805
O: 0.736 0.199 0.052
O: 0.744 0.953 0.546



2 | The following is a DFT calculation (PBE+U) of a relaxed structure of Li9Mn2Co5O16.

a = 5.188 Å, b = 5.946 Å, c = 10.258 Å
α = 103.80°, β = 95.24°, γ = 109.90°
Space group P1 (No. 1)
Symmetry-distinct sites (fractional):
Li: 0.000 0.000 0.000
Li: 0.000 0.111 0.735
Li: 0.001 0.869 0.248
Li: 0.002 0.494 0.997
Li: 0.008 0.753 0.496
Li: 0.013 0.234 0.491
Li: 0.495 0.178 0.614
Li: 0.991 0.604 0.735
Li: 0.997 0.367 0.246
Mn: 0.505 0.548 0.867
Mn: 0.506 0.051 0.866
Co: 0.493 0.307 0.370
Co: 0.494 0.815 0.374
Co: 0.499 0.429 0.120
Co: 0.501 0.680 0.617
Co: 0.505 0.929 0.122
O: 0.264 0.293 0.936
O: 0.266 0.044 0.427
O: 0.266 0.555 0.441
O: 0.270 0.424 0.689
O: 0.274 0.165 0.183
O: 0.277 0.671 0.189
O: 0.290 0.882 0.684
O: 0.296 0.769 0.934
O: 0.701 0.481 0.551
O: 0.718 0.344 0.814
O: 0.720 0.562 0.299
O: 0.726 0.938 0.552
O: 0.729 0.066 0.302
O: 0.731 0.188 0.053
O: 0.733 0.688 0.050
O: 0.744 0.808 0.799



The structure with the least stability is 2.



1 | The following is a DFT calculation (PBE+U) of a relaxed structure of Li9Mn2Co5O16.

a = 9.932 Å, b = 2.938 Å, c = 10.055 Å
α = 90.00°, β = 101.18°, γ = 90.00°
Space group P2/m (No. 10)
Symmetry-distinct sites (fractional):
Li: 0.000 0.000 0.000
Li: 0.229 0.500 0.118
Li: 0.233 0.000 0.375
Li: 0.237 0.000 0.874
Li: 0.242 0.500 0.620
Mn: 0.499 0.000 0.247
Co: 0.000 0.000 0.500
Co: 0.002 0.500 0.763
Co: 0.500 0.500 0.000
Co: 0.500 0.500 0.500
O: 0.113 0.000 0.678
O: 0.115 0.500 0.434
O: 0.117 0.000 0.192
O: 0.123 0.500 0.922
O: 0.388 0.000 0.578
O: 0.389 0.500 0.295
O: 0.395 0.000 0.059
O: 0.395 0.500 0.816



2 | The following is a DFT calculation (PBE+U) of a relaxed structure of Li9Mn2Co5O16.

a = 5.936 Å, b = 6.454 Å, c = 7.867 Å
α = 87.80°, β = 75.50°, γ = 76.68°
Space group P1 (No. 1)
Symmetry-distinct sites (fractional):
Li: 0.000 0.000 0.000
Li: 0.001 0.503 0.505
Li: 0.244 0.266 0.759
Li: 0.249 0.752 0.249
Li: 0.367 0.627 0.878
Li: 0.495 0.499 0.498
Li: 0.496 0.009 0.010
Li: 0.728 0.276 0.760
Li: 0.735 0.751 0.240
Mn: 0.125 0.884 0.631
Mn: 0.622 0.885 0.632
Co: 0.116 0.378 0.122
Co: 0.371 0.132 0.375
Co: 0.611 0.381 0.120
Co: 0.869 0.633 0.879
Co: 0.873 0.135 0.376
O: 0.036 0.667 0.048
O: 0.080 0.179 0.557
O: 0.159 0.590 0.695
O: 0.163 0.082 0.195
O: 0.303 0.939 0.789
O: 0.325 0.426 0.309
O: 0.410 0.320 0.953
O: 0.417 0.832 0.442
O: 0.577 0.675 0.056
O: 0.581 0.184 0.559
O: 0.664 0.086 0.199
O: 0.700 0.594 0.705
O: 0.825 0.427 0.306
O: 0.833 0.932 0.816
O: 0.904 0.339 0.941
O: 0.939 0.842 0.458



3 | The following is a DFT calculation (PBE+U) of a relaxed structure of Li9Mn2Co5O16.

a = 9.782 Å, b = 2.902 Å, c = 10.277 Å
α = 90.00°, β = 100.36°, γ = 90.00°
Space group Pm (No. 6)
Symmetry-distinct sites (fractional):
Li: 0.000 0.000 0.000
Li: 0.002 0.000 0.484
Li: 0.245 0.500 0.601
Li: 0.255 0.000 0.363
Li: 0.259 0.500 0.135
Li: 0.501 0.000 0.248
Li: 0.508 0.000 0.738
Li: 0.757 0.500 0.869
Li: 0.759 0.500 0.365
Mn: 0.255 0.000 0.866
Mn: 0.495 0.500 0.485
Co: 0.022 0.500 0.256
Co: 0.512 0.500 0.996
Co: 0.752 0.000 0.618
Co: 0.763 0.000 0.121
Co: 0.999 0.500 0.739
O: 0.120 0.000 0.181
O: 0.120 0.500 0.422
O: 0.133 0.000 0.694
O: 0.145 0.500 0.920
O: 0.367 0.500 0.813
O: 0.382 0.000 0.040
O: 0.391 0.500 0.318
O: 0.392 0.000 0.547
O: 0.614 0.000 0.440
O: 0.620 0.000 0.935
O: 0.625 0.500 0.666
O: 0.637 0.500 0.172
O: 0.871 0.500 0.561
O: 0.875 0.500 0.062
O: 0.881 0.000 0.799
O: 0.884 0.000 0.297



4 | The following is a DFT calculation (PBE+U) of a relaxed structure of Li9Mn2Co5O16.

a = 5.131 Å, b = 7.722 Å, c = 7.773 Å
α = 81.02°, β = 84.05°, γ = 71.31°
Space group P-1 (No. 2)
Symmetry-distinct sites (fractional):
Li: 0.000 0.000 0.000
Li: 0.494 0.937 0.182
Li: 0.495 0.440 0.691
Li: 0.495 0.692 0.938
Li: 0.499 0.814 0.562
Mn: 0.009 0.246 0.249
Co: 0.000 0.500 0.500
Co: 0.006 0.123 0.632
Co: 0.006 0.635 0.123
O: 0.219 0.670 0.538
O: 0.220 0.544 0.897
O: 0.220 0.909 0.769
O: 0.228 0.400 0.284
O: 0.231 0.041 0.401
O: 0.233 0.291 0.654
O: 0.235 0.168 0.044
O: 0.236 0.767 0.163



The structure with the least stability is 1.



1 | The following is a DFT calculation (PBE+U) of a relaxed structure of Li9Mn2Co5O16.

a = 5.231 Å, b = 11.335 Å, c = 5.235 Å
α = 90.00°, β = 112.71°, γ = 90.00°
Space group P2 (No. 3)
Symmetry-distinct sites (fractional):
Li: 0.000 0.000 0.000
Li: 0.000 0.119 0.500
Li: 0.000 0.241 0.000
Li: 0.000 0.492 0.000
Li: 0.000 0.742 0.000
Li: 0.500 0.115 0.000
Li: 0.500 0.369 0.000
Li: 0.500 0.618 0.000
Li: 0.500 0.872 0.000
Mn: 0.000 0.873 0.500
Mn: 0.500 0.742 0.500
Co: 0.000 0.362 0.500
Co: 0.000 0.617 0.500
Co: 0.500 0.243 0.500
Co: 0.500 0.492 0.500
Co: 0.500 0.999 0.500
O: 0.223 0.493 0.723
O: 0.224 0.742 0.733
O: 0.230 0.257 0.734
O: 0.239 0.985 0.736
O: 0.247 0.870 0.291
O: 0.272 0.369 0.277
O: 0.272 0.616 0.270
O: 0.283 0.120 0.270



2 | The following is a DFT calculation (PBE+U) of a relaxed structure of Li9Mn2Co5O16.

a = 4.995 Å, b = 5.873 Å, c = 10.224 Å
α = 89.66°, β = 81.81°, γ = 73.44°
Space group P1 (No. 1)
Symmetry-distinct sites (fractional):
Li: 0.000 0.000 0.000
Li: 0.000 0.244 0.749
Li: 0.485 0.626 0.388
Li: 0.487 0.872 0.634
Li: 0.490 0.875 0.135
Li: 0.496 0.117 0.871
Li: 0.501 0.369 0.630
Li: 0.979 0.501 0.509
Li: 0.990 0.748 0.266
Mn: 0.001 0.494 0.002
Mn: 0.993 0.752 0.752
Co: 0.490 0.115 0.391
Co: 0.497 0.372 0.129
Co: 0.503 0.621 0.877
Co: 0.992 0.245 0.264
Co: 0.994 0.998 0.513
O: 0.210 0.690 0.583
O: 0.230 0.176 0.563
O: 0.231 0.941 0.323
O: 0.237 0.415 0.316
O: 0.240 0.457 0.828
O: 0.244 0.210 0.068
O: 0.245 0.906 0.821
O: 0.265 0.656 0.055
O: 0.734 0.833 0.440
O: 0.740 0.088 0.190
O: 0.740 0.305 0.440
O: 0.742 0.575 0.709
O: 0.755 0.545 0.173
O: 0.759 0.334 0.940
O: 0.762 0.783 0.935
O: 0.763 0.041 0.698



3 | The following is a DFT calculation (PBE+U) of a relaxed structure of Li9Mn2Co5O16.

a = 9.781 Å, b = 2.918 Å, c = 10.334 Å
α = 90.00°, β = 100.27°, γ = 90.00°
Space group P2/m (No. 10)
Symmetry-distinct sites (fractional):
Li: 0.000 0.000 0.000
Li: 0.000 0.000 0.500
Li: 0.257 0.500 0.122
Li: 0.258 0.500 0.632
Li: 0.499 0.000 0.238
Li: 0.500 0.500 0.000
Mn: 0.005 0.500 0.751
Co: 0.254 0.000 0.377
Co: 0.271 0.000 0.892
Co: 0.500 0.500 0.500
O: 0.110 0.000 0.196
O: 0.110 0.000 0.692
O: 0.121 0.500 0.918
O: 0.125 0.500 0.422
O: 0.365 0.000 0.058
O: 0.365 0.500 0.320
O: 0.365 0.500 0.814
O: 0.380 0.000 0.554



4 | The following is a DFT calculation (PBE+U) of a relaxed structure of Li9Mn2Co5O16.

a = 4.973 Å, b = 6.683 Å, c = 8.829 Å
α = 98.87°, β = 95.31°, γ = 98.56°
Space group P1 (No. 1)
Symmetry-distinct sites (fractional):
Li: 0.000 0.000 0.000
Li: 0.000 0.237 0.738
Li: 0.007 0.744 0.251
Li: 0.499 0.362 0.612
Li: 0.503 0.121 0.872
Li: 0.511 0.612 0.368
Li: 0.517 0.874 0.129
Li: 0.753 0.304 0.186
Li: 0.994 0.486 0.484
Mn: 0.257 0.426 0.060
Mn: 0.759 0.548 0.932
Co: 0.253 0.187 0.302
Co: 0.256 0.678 0.806
Co: 0.257 0.935 0.558
Co: 0.751 0.060 0.427
Co: 0.758 0.804 0.683
O: 0.109 0.946 0.770
O: 0.114 0.200 0.520
O: 0.130 0.688 0.012
O: 0.144 0.461 0.261
O: 0.361 0.172 0.084
O: 0.391 0.909 0.345
O: 0.392 0.663 0.608
O: 0.399 0.406 0.854
O: 0.609 0.077 0.646
O: 0.612 0.324 0.397
O: 0.620 0.581 0.130
O: 0.631 0.807 0.889
O: 0.887 0.783 0.479
O: 0.892 0.302 0.964
O: 0.896 0.531 0.730
O: 0.897 0.028 0.221



The structure with the least stability is 1.